Arrangement one

Material: Li3Cr2P3O12
Method: DFT, PBE+U
State: optimized geometry

Values from the calculation:
total moment = 23.998 μB/cell
symmetry = No. 13

a b c (Å): 8.4286 8.7029 12.2125
angles (deg): 90.00 92.21 90.00
Closest atoms and distances in Å follow each position.
Positions (direct):
Li 0.0000 0.0000 0.0000  6 O 2.23-2.25
Li 0.0000 0.0000 0.5000  6 O 2.23-2.25
Li 0.0000 0.0990 0.2500  4 O 2.12-2.16
Li 0.0000 0.9010 0.7500  4 O 2.12-2.16
Li 0.2135 0.3091 0.5517  4 O 2.08-2.28
Li 0.2135 0.6909 0.0517  4 O 2.08-2.28
Li 0.5000 0.3952 0.2500  4 O 2.11-2.30
Li 0.5000 0.5000 0.0000  6 O 2.19-2.26
Li 0.5000 0.5000 0.5000  6 O 2.19-2.26
Li 0.5000 0.6048 0.7500  4 O 2.11-2.30
Li 0.7865 0.3091 0.9483  4 O 2.08-2.28
Li 0.7865 0.6909 0.4483  4 O 2.08-2.28
Cr 0.2185 0.4992 0.3581  6 O 1.92-2.03
Cr 0.2185 0.5008 0.8581  6 O 1.92-2.03
Cr 0.2824 0.0026 0.6438  6 O 1.92-2.01
Cr 0.2824 0.9974 0.1438  6 O 1.92-2.01
Cr 0.7176 0.0026 0.8562  6 O 1.92-2.01
Cr 0.7176 0.9974 0.3562  6 O 1.92-2.01
Cr 0.7815 0.4992 0.1419  6 O 1.92-2.03
Cr 0.7815 0.5008 0.6419  6 O 1.92-2.03
P 0.0000 0.2125 0.7500  4 O 1.52-1.57
P 0.0000 0.7875 0.2500  4 O 1.52-1.57
P 0.1500 0.3531 0.1027  4 O 1.54-1.57
P 0.1500 0.6469 0.6027  4 O 1.54-1.57
P 0.3459 0.1398 0.3930  4 O 1.51-1.58
P 0.3459 0.8602 0.8930  4 O 1.51-1.58
P 0.5000 0.2976 0.7500  4 O 1.53-1.57
P 0.5000 0.7024 0.2500  4 O 1.53-1.57
P 0.6541 0.1398 0.1070  4 O 1.51-1.58
P 0.6541 0.8602 0.6070  4 O 1.51-1.58
P 0.8500 0.3531 0.3973  4 O 1.54-1.57
P 0.8500 0.6469 0.8973  4 O 1.54-1.57
O 0.0285 0.3916 0.4069  1 P 1.54
O 0.0285 0.6084 0.9069  1 P 1.54
O 0.0705 0.1030 0.6618  1 P 1.57
O 0.0705 0.8970 0.1618  1 P 1.57
O 0.1219 0.3095 0.8139  1 P 1.52
O 0.1219 0.6905 0.3139  1 P 1.52
O 0.1543 0.1759 0.0871  1 P 1.55
O 0.1543 0.8241 0.5871  1 P 1.55
O 0.2312 0.4043 0.2121  1 P 1.54
O 0.2312 0.5957 0.7121  1 P 1.54
O 0.2474 0.0882 0.4921  1 P 1.56
O 0.2470 0.0916 0.2895  1 P 1.55
O 0.2474 0.4428 0.0167  1 P 1.57
O 0.2474 0.5572 0.5167  1 P 1.57
O 0.2470 0.9084 0.7895  1 P 1.55
O 0.2474 0.9118 0.9921  1 P 1.56
O 0.3585 0.3197 0.4062  1 P 1.58
O 0.3585 0.6803 0.9062  1 P 1.58
O 0.3715 0.2045 0.6875  1 P 1.53
O 0.3715 0.7955 0.1875  1 P 1.53
O 0.4321 0.4089 0.8378  1 P 1.57
O 0.4321 0.5911 0.3378  1 P 1.57
O 0.4852 0.0815 0.1089  1 P 1.51
O 0.4852 0.9185 0.6089  1 P 1.51
O 0.5148 0.0815 0.3911  1 P 1.51
O 0.5148 0.9185 0.8911  1 P 1.51
O 0.5679 0.4089 0.6622  1 P 1.57
O 0.5679 0.5911 0.1622  1 P 1.57
O 0.6285 0.2045 0.8125  1 P 1.53
O 0.6285 0.7955 0.3125  1 P 1.53
O 0.6415 0.3197 0.0938  1 P 1.58
O 0.6415 0.6803 0.5938  1 P 1.58
O 0.7526 0.0882 0.0079  1 P 1.56
O 0.7530 0.0916 0.2105  1 P 1.55
O 0.7526 0.4428 0.4833  1 P 1.57
O 0.7526 0.5572 0.9833  1 P 1.57
O 0.7530 0.9084 0.7105  1 P 1.55
O 0.7526 0.9118 0.5079  1 P 1.56
O 0.7688 0.4043 0.2879  1 P 1.54
O 0.7688 0.5957 0.7879  1 P 1.54
O 0.8457 0.1759 0.4129  1 P 1.55
O 0.8457 0.8241 0.9129  1 P 1.55
O 0.8781 0.3095 0.6861  1 P 1.52
O 0.8781 0.6905 0.1861  1 P 1.52
O 0.9295 0.1030 0.8382  1 P 1.57
O 0.9295 0.8970 0.3382  1 P 1.57
O 0.9715 0.3916 0.0931  1 P 1.54
O 0.9715 0.6084 0.5931  1 P 1.54

=====

Arrangement two

Material: Li3Cr2P3O12
Method: DFT, PBE+U
State: optimized geometry

Values from the calculation:
total moment = 11.999 μB/cell
symmetry = No. 148

a b c (Å): 8.9064 8.9064 8.9064
angles (deg): 56.14 56.14 56.14
Closest atoms and distances in Å follow each position.
Positions (direct):
Li 0.1676 0.4204 0.7643  4 O 1.96-2.16
Li 0.2357 0.8324 0.5796  4 O 1.96-2.16
Li 0.4204 0.7643 0.1676  4 O 1.96-2.16
Li 0.5796 0.2357 0.8324  4 O 1.96-2.16
Li 0.7643 0.1676 0.4204  4 O 1.96-2.16
Li 0.8324 0.5796 0.2357  4 O 1.96-2.16
Cr 0.1512 0.1512 0.1512  6 O 2.01
Cr 0.3554 0.3554 0.3554  6 O 1.95-2.04
Cr 0.6446 0.6446 0.6446  6 O 1.95-2.04
Cr 0.8488 0.8488 0.8488  6 O 2.01
P 0.0376 0.7502 0.4607  4 O 1.51-1.59
P 0.2498 0.5393 0.9624  4 O 1.51-1.59
P 0.4607 0.0376 0.7502  4 O 1.51-1.59
P 0.5393 0.9624 0.2498  4 O 1.51-1.59
P 0.7502 0.4607 0.0376  4 O 1.51-1.59
P 0.9624 0.2498 0.5393  4 O 1.51-1.59
O 0.0069 0.9665 0.3300  1 P 1.55
O 0.0335 0.6701 0.9931  1 P 1.55
O 0.0371 0.7118 0.6582  1 P 1.59
O 0.1156 0.3044 0.5037  1 P 1.51
O 0.2454 0.6206 0.3691  1 P 1.55
O 0.2882 0.3418 0.9629  1 P 1.59
O 0.3044 0.5037 0.1156  1 P 1.51
O 0.3300 0.0069 0.9665  1 P 1.55
O 0.3418 0.9629 0.2882  1 P 1.59
O 0.3691 0.2454 0.6206  1 P 1.55
O 0.3794 0.6309 0.7546  1 P 1.55
O 0.4963 0.8844 0.6956  1 P 1.51
O 0.5037 0.1156 0.3044  1 P 1.51
O 0.6206 0.3691 0.2454  1 P 1.55
O 0.6309 0.7546 0.3794  1 P 1.55
O 0.6582 0.0371 0.7118  1 P 1.59
O 0.6700 0.9931 0.0335  1 P 1.55
O 0.6956 0.4963 0.8844  1 P 1.51
O 0.7118 0.6582 0.0371  1 P 1.59
O 0.7546 0.3794 0.6309  1 P 1.55
O 0.8844 0.6956 0.4963  1 P 1.51
O 0.9629 0.2882 0.3418  1 P 1.59
O 0.9665 0.3300 0.0069  1 P 1.55
O 0.9931 0.0335 0.6700  1 P 1.55

=====

Most stable: arrangement two (next structure +36 meV/atom)

=====

Arrangement one

Material: V2Cu2O7
Method: DFT, PBE+U
State: optimized geometry

Values from the calculation:
symmetry = No. 43

a b c (Å): 10.8560 5.5000 11.2872
angles (deg): 71.30 28.68 80.02
Closest atoms and distances in Å follow each position.
Positions (direct):
V 0.1036 0.8964 0.2973  4 O 1.69-1.80
V 0.5473 0.9527 0.3536  4 O 1.69-1.80
V 0.8964 0.1036 0.7027  4 O 1.69-1.80
V 0.9527 0.5473 0.1464  4 O 1.69-1.80
Cu 0.0212 0.4372 0.8060  4 O 1.92-1.98
Cu 0.4372 0.0212 0.7356  4 O 1.92-1.98
Cu 0.4440 0.5144 0.2288  4 O 1.92-1.98
Cu 0.5144 0.4440 0.8128  4 O 1.92-1.98
O 0.0091 0.4094 0.9900  1 V 1.69
O 0.0841 0.0841 0.4159  2 V 1.79
O 0.1152 0.2851 0.6004  1 V 1.80, 2 Cu 1.96-1.98
O 0.2507 0.6496 0.9649  1 V 1.80, 2 Cu 1.96-1.98
O 0.2600 0.6584 0.2409  1 V 1.69
O 0.2851 0.1152 0.9993  1 V 1.80, 2 Cu 1.96-1.98
O 0.3378 0.7128 0.4857  1 V 1.72, 1 Cu 1.92
O 0.4094 0.0091 0.5916  1 V 1.69
O 0.6496 0.2507 0.1348  1 V 1.80, 2 Cu 1.96-1.98
O 0.6584 0.2600 0.8406  1 V 1.69
O 0.7128 0.3378 0.4637  1 V 1.72, 1 Cu 1.92
O 0.7643 0.7863 0.9122  1 V 1.72, 1 Cu 1.92
O 0.7863 0.7643 0.5372  1 V 1.72, 1 Cu 1.92
O 0.8341 0.8341 0.1659  2 V 1.79

=====

Arrangement two

Material: V2Cu2O7
Method: DFT, PBE+U
State: optimized geometry

Values from the calculation:
symmetry = No. 15

a b c (Å): 5.6760 5.6760 10.2581
angles (deg): 103.65 103.65 90.74
Closest atoms and distances in Å follow each position.
Positions (direct):
V 0.0016 0.5570 0.7135  4 O 1.69-1.80
V 0.4430 0.9984 0.7865  4 O 1.69-1.80
V 0.5570 0.0016 0.2135  4 O 1.69-1.80
V 0.9984 0.4430 0.2865  4 O 1.69-1.80
Cu 0.2325 0.3761 0.0126  4 O 1.91-1.96
Cu 0.3761 0.2325 0.5126  4 O 1.91-1.96
Cu 0.6239 0.7675 0.4874  4 O 1.91-1.96
Cu 0.7675 0.6239 0.9874  4 O 1.91-1.96
O 0.0100 0.5122 0.1266  1 V 1.79, 2 Cu 1.96
O 0.1382 0.8618 0.7500  2 V 1.80
O 0.1787 0.3624 0.6354  1 V 1.69
O 0.2815 0.4573 0.3975  1 V 1.72
O 0.3624 0.1787 0.1354  1 V 1.69
O 0.4573 0.2815 0.8975  1 V 1.72
O 0.4878 0.9900 0.3734  1 V 1.79, 2 Cu 1.96
O 0.5122 0.0100 0.6266  1 V 1.79, 2 Cu 1.96
O 0.5427 0.7185 0.1025  1 V 1.72
O 0.6376 0.8213 0.8646  1 V 1.69
O 0.7185 0.5427 0.6025  1 V 1.72
O 0.8213 0.6376 0.3646  1 V 1.69
O 0.8618 0.1382 0.2500  2 V 1.80
O 0.9900 0.4878 0.8734  1 V 1.79, 2 Cu 1.96

=====

Most stable: arrangement two (next structure +7 meV/atom)